[1]
Material: Tb2InAu2
Method: DFT, GGA-PBE
State: optimized geometry

a = 8.0392 Å, b = 8.0392 Å, c = 3.7211 Å
α = 90.00°, β = 90.00°, γ = 90.00°
Space group P4/mbm (No. 127)
Unique sites:
1 Tb 0.1701 0.3299 0.0000
2 In 0.0000 0.0000 0.5000
3 Au 0.1281 0.6281 0.5000

Values from the calculation:
E ... -22.6 eV per formula unit
Calculated volume ... 120.2 Å³/f.u.
Energy of formation ... -0.8133 eV per atom

[2]
Material: Tb2F15
Method: DFT, GGA-PBE
State: optimized geometry

a = 12.2704 Å, b = 11.9277 Å, c = 8.5645 Å
α = 90.00°, β = 111.42°, γ = 90.00°
Space group C2/c (No. 15)
Unique sites:
1 Tb 0.0000 0.1748 0.2500
2 Tb 0.0000 0.2627 0.7500
3 F 0.0000 0.4331 0.2500
4 F 0.0145 0.2095 0.0057
5 F 0.0885 0.4134 0.9239
6 F 0.1072 0.0117 0.2049
7 F 0.1255 0.3252 0.3200
8 F 0.1510 0.1343 0.8139
9 F 0.1699 0.0967 0.4158
10 F 0.1706 0.3551 0.7859

Values from the calculation:
M_tot ... 36.00 μB per cell
E ... -65.6 eV per formula unit
Calculated volume ... 291.7 Å³/f.u.
Energy of formation ... -2.0341 eV per atom

[3]
Material: HoAlAg2
Method: DFT, GGA-PBE
State: optimized geometry

a = 6.8250 Å, b = 6.8250 Å, c = 6.8250 Å
α = 90.00°, β = 90.00°, γ = 90.00°
Space group Fm-3m (No. 225)
Unique sites:
1 Ho 0.0000 0.0000 0.0000
2 Al 0.0000 0.0000 0.5000
3 Ag 0.2500 0.2500 0.2500

Values from the calculation:
E ... -15.3 eV per formula unit
Calculated volume ... 79.5 Å³/f.u.
Energy of formation ... -0.3357 eV per atom

[4]
Material: LiZn3
Method: DFT, GGA-PBE
State: optimized geometry

a = 6.1374 Å, b = 6.1374 Å, c = 6.1374 Å
α = 90.00°, β = 90.00°, γ = 90.00°
Space group Fm-3m (No. 225)
Unique sites:
1 Li 0.0000 0.0000 0.0000
2 Zn 0.0000 0.0000 0.5000
3 Zn 0.2500 0.2500 0.2500

Values from the calculation:
E ... -6.4 eV per formula unit
Calculated volume ... 57.8 Å³/f.u.
Energy of formation ... -0.1694 eV per atom

[5]
Material: LiAl4Cd2O8
Method: DFT, GGA-PBE
State: optimized geometry

a = 5.8903 Å, b = 5.8903 Å, c = 15.9182 Å
α = 90.00°, β = 90.00°, γ = 120.00°
Space group R-3m (No. 166, hexagonal axes)
Unique sites:
1 Li 0.0000 0.0000 0.0000
2 Al 0.0000 0.0000 0.5000
3 Al 0.0000 0.5000 0.0000
4 Cd 0.0000 0.0000 0.1496
5 O 0.0000 0.0000 0.2813
6 O 0.0398 0.5199 0.2591

Values from the calculation:
M_tot ... 0.00 μB per cell
E ... -90.9 eV per formula unit
Calculated volume ... 159.4 Å³/f.u.
Energy of formation ... -2.5365 eV per atom

[6]
Material: Na4Bi2C4SO16
Method: DFT, GGA-PBE
State: optimized geometry

a = 14.3919 Å, b = 14.7548 Å, c = 14.7899 Å
α = 90.00°, β = 90.00°, γ = 90.00°
Space group F222 (No. 22)
Unique sites:
1 Na 0.0000 0.0000 0.2046
2 Na 0.0000 0.2044 0.0000
3 Na 0.0576 0.2500 0.2500
4 Na 0.2033 0.0000 0.0000
5 Bi 0.1292 0.1228 0.6221
6 C 0.0954 0.0963 0.4047
7 C 0.1465 0.1522 0.8469
8 S 0.0000 0.0000 0.0000
9 S 0.2500 0.2500 0.2500
10 O 0.0338 0.1021 0.3399
11 O 0.0597 0.0586 0.0586
12 O 0.0871 0.2188 0.8544
13 O 0.0948 0.1557 0.4691
14 O 0.1391 0.0947 0.7814
15 O 0.1552 0.0305 0.4061
16 O 0.1886 0.1920 0.1918
17 O 0.2115 0.1431 0.9072

Values from the calculation:
M_tot ... 0.01 μB per cell
E ... -174.0 eV per formula unit
Calculated volume ... 392.6 Å³/f.u.
Energy of formation ... -1.9151 eV per atom

[7]
Material: Nd2MgSe4
Method: DFT, GGA-PBE
State: optimized geometry

a = 8.7393 Å, b = 8.7393 Å, c = 9.2151 Å
α = 90.00°, β = 90.00°, γ = 90.00°
Space group I-42d (No. 122)
Unique sites:
1 Nd 0.1294 0.2500 0.1250
2 Mg 0.0000 0.0000 0.5000
3 Se 0.0680 0.1983 0.8083

Values from the calculation:
M_tot ... 0.00 μB per cell
E ... -36.5 eV per formula unit
Calculated volume ... 176.0 Å³/f.u.
Energy of formation ... -1.9012 eV per atom

[8]
Material: NaNdNb4O12
Method: DFT, GGA-PBE
State: optimized geometry

a = 5.6206 Å, b = 5.6206 Å, c = 16.0430 Å
α = 90.00°, β = 90.00°, γ = 90.00°
Space group I4/mmm (No. 139)
Unique sites:
1 Na 0.0000 0.0000 0.0000
2 Nd 0.0000 0.0000 0.5000
3 Nb 0.0000 0.5000 0.1290
4 O 0.0000 0.5000 0.0000
5 O 0.0000 0.5000 0.2500
6 O 0.2418 0.2418 0.3860

Values from the calculation:
M_tot ... 0.00 μB per cell
E ... -153.3 eV per formula unit
Calculated volume ... 253.4 Å³/f.u.
Energy of formation ... -3.0931 eV per atom

[9]
Material: Ba2ZnSe3
Method: DFT, GGA-PBE
State: optimized geometry

a = 9.2512 Å, b = 4.4719 Å, c = 17.9152 Å
α = 90.00°, β = 90.00°, γ = 90.00°
Space group Pnma (No. 62)
Unique sites:
1 Ba 0.0810 0.2500 0.2128
2 Ba 0.2495 0.2500 0.9569
3 Zn 0.1362 0.2500 0.6354
4 Se 0.0046 0.7500 0.6012
5 Se 0.1252 0.7500 0.0712
6 Se 0.1823 0.2500 0.7729

Values from the calculation:
E ... -25.2 eV per formula unit
Calculated volume ... 185.3 Å³/f.u.
Energy of formation ... -1.8349 eV per atom

Question: calculated volume of number 2 (Tb2F15)?
Answer: 291.7 Å³/f.u.

Question: Which of these has the lowest energy of formation?
Answer: NaNdNb4O12

What did the second record say?
Material: Tb2F15
Method: DFT, GGA-PBE
State: optimized geometry

a = 12.2704 Å, b = 11.9277 Å, c = 8.5645 Å
α = 90.00°, β = 111.42°, γ = 90.00°
Space group C2/c (No. 15)
Unique sites:
1 Tb 0.0000 0.1748 0.2500
2 Tb 0.0000 0.2627 0.7500
3 F 0.0000 0.4331 0.2500
4 F 0.0145 0.2095 0.0057
5 F 0.0885 0.4134 0.9239
6 F 0.1072 0.0117 0.2049
7 F 0.1255 0.3252 0.3200
8 F 0.1510 0.1343 0.8139
9 F 0.1699 0.0967 0.4158
10 F 0.1706 0.3551 0.7859

Values from the calculation:
M_tot ... 36.00 μB per cell
E ... -65.6 eV per formula unit
Calculated volume ... 291.7 Å³/f.u.
Energy of formation ... -2.0341 eV per atom